Material: CeHgAu2
Method: DFT, PBE
State: optimized geometry

Computed properties:
calculated volume: 97 Å³ per cell
energy of formation from the pure elements: -0.51 eV per atom
space-group type: No. 225
mass density: 12.58 g/cm3

abc: 5.157 5.157 5.157
angles: 60.00 60.00 60.00
Atoms (fractional coordinates):
Au1 0.250 0.250 0.250
Au2 0.750 0.750 0.750
Hg1 0.000 0.000 0.000
Ce1 0.500 0.500 0.500